A geometry-optimized Dy3S2Cl5 structure, computed with PBE.

E_tot ... -5.32 eV per atom
DFT formation energy ... -2.59 eV per atom
E (MP2020) ... -228.9 eV per cell

Lattice parameters (Å, degrees): 6.8162 21.8145 6.3870 90.00 90.00 90.00
Space group Pnma (No. 62)
Inequivalent atoms, fractional coordinates:
1 Dy 0.0375 0.2500 0.0504
2 Dy 0.1200 0.0981 0.4509
3 S 0.1714 0.6723 0.6917
4 Cl 0.0387 0.6174 0.1651
5 Cl 0.1676 0.5202 0.6767
6 Cl 0.1824 0.2500 0.6545



A geometry-optimized ErCl2 structure, computed with PBE.

E_tot ... -4.59 eV per atom
DFT formation energy ... -2.24 eV per atom
E (MP2020) ... -30.0 eV per cell

Lattice parameters (Å, degrees): 6.8409 6.8409 3.4375 90.00 90.00 90.00
Space group P4_2/mnm (No. 136)
Inequivalent atoms, fractional coordinates:
1 Er 0.0000 0.0000 0.0000
2 Cl 0.2198 0.2198 0.5000



A geometry-optimized K4ErP6H6ClO21 structure, computed with PBE.

E_tot ... -6.35 eV per atom
DFT formation energy ... -2.42 eV per atom
E (MP2020) ... -524.3 eV per cell

Lattice parameters (Å, degrees): 10.0322 10.0322 12.2739 90.00 90.00 120.00
Space group P6_3/m (No. 176)
Inequivalent atoms, fractional coordinates:
1 K 0.0000 0.0000 0.0000
2 K 0.0492 0.7249 0.2500
3 Er 0.3333 0.6667 0.7500
4 P 0.1986 0.4817 0.0082
5 H 0.0334 0.6382 0.6855
6 Cl 0.0000 0.0000 0.2500
7 O 0.0581 0.5960 0.7500
8 O 0.0990 0.3427 0.0748
9 O 0.1717 0.6228 0.0480
10 O 0.1934 0.4759 0.6143



A geometry-optimized ErH2ClO2 structure, computed with PBE.

E_tot ... -5.95 eV per atom
DFT formation energy ... -2.33 eV per atom
E (MP2020) ... -74.1 eV per cell

Lattice parameters (Å, degrees): 6.2237 3.5916 6.6510 90.00 105.91 90.00
Space group P2_1/m (No. 11)
Inequivalent atoms, fractional coordinates:
1 Er 0.2166 0.2500 0.3897
2 H 0.1499 0.2500 0.8010
3 H 0.3716 0.7500 0.7295
4 Cl 0.2687 0.7500 0.0764
5 O 0.0488 0.2500 0.6594
6 O 0.3938 0.7500 0.5894



A geometry-optimized KEr2Cl7 structure, computed with PBE.

E_tot ... -4.55 eV per atom
DFT formation energy ... -2.66 eV per atom
E (MP2020) ... -199.2 eV per cell

Lattice parameters (Å, degrees): 6.9356 12.6241 13.3170 90.00 90.84 90.00
Space group P2_1/c (No. 14)
Inequivalent atoms, fractional coordinates:
1 K 0.2329 0.2013 0.4617
2 Er 0.2256 0.6603 0.7507
3 Er 0.2791 0.5369 0.2620
4 Cl 0.0165 0.6776 0.3264
5 Cl 0.0366 0.0588 0.6317
6 Cl 0.0446 0.0864 0.8772
7 Cl 0.2429 0.6852 0.1082
8 Cl 0.4437 0.5270 0.8653
9 Cl 0.4741 0.5739 0.6214
10 Cl 0.4972 0.7030 0.3240



A geometry-optimized K2NaErCl6 structure, computed with PBE.

E_tot ... -3.98 eV per atom
DFT formation energy ... -2.43 eV per atom
E (MP2020) ... -174.0 eV per cell

Lattice parameters (Å, degrees): 10.6784 10.6784 10.6784 90.00 90.00 90.00
Space group Fm-3m (No. 225)
Inequivalent atoms, fractional coordinates:
1 K 0.2500 0.2500 0.2500
2 Na 0.0000 0.0000 0.0000
3 Er 0.0000 0.0000 0.5000
4 Cl 0.0000 0.0000 0.2561



A geometry-optimized KRb2ErCl6 structure, computed with PBE.

E_tot ... -3.98 eV per atom
DFT formation energy ... -2.47 eV per atom
E (MP2020) ... -173.9 eV per cell

Lattice parameters (Å, degrees): 11.2174 11.2174 11.2174 90.00 90.00 90.00
Space group Fm-3m (No. 225)
Inequivalent atoms, fractional coordinates:
1 K 0.0000 0.0000 0.0000
2 Rb 0.2500 0.2500 0.2500
3 Er 0.0000 0.0000 0.5000
4 Cl 0.0000 0.0000 0.2672



A geometry-optimized Li3ErCl6 structure, computed with PBE.

E_tot ... -4.12 eV per atom
Maximum piezoelectric response ... 0.3 C/m²
DFT formation energy ... -2.35 eV per atom
E (MP2020) ... -134.7 eV per cell

Lattice parameters (Å, degrees): 11.0873 11.0873 6.1125 90.00 90.00 120.00
Space group P321 (No. 150)
Inequivalent atoms, fractional coordinates:
1 Li 0.0000 0.3465 0.0000
2 Li 0.0000 0.6548 0.0000
3 Li 0.0000 0.6991 0.5000
4 Er 0.0000 0.0000 0.0000
5 Er 0.3333 0.6667 0.5113
6 Cl 0.1082 0.5601 0.7559
7 Cl 0.1141 0.2312 0.7743
8 Cl 0.2103 0.7719 0.2691



A geometry-optimized Na2LiErCl6 structure, computed with PBE.

E_tot ... -3.91 eV per atom
DFT formation energy ... -2.25 eV per atom
E (MP2020) ... -171.0 eV per cell

Lattice parameters (Å, degrees): 10.2195 10.2195 10.2195 90.00 90.00 90.00
Space group Fm-3m (No. 225)
Inequivalent atoms, fractional coordinates:
1 Na 0.2500 0.2500 0.2500
2 Li 0.0000 0.0000 0.0000
3 Er 0.0000 0.0000 0.5000
4 Cl 0.0000 0.0000 0.2465



A geometry-optimized Rb2LiErCl6 structure, computed with PBE.

E_tot ... -4.05 eV per atom
DFT formation energy ... -2.47 eV per atom
E (MP2020) ... -176.8 eV per cell

Lattice parameters (Å, degrees): 10.4434 10.4434 10.4434 90.00 90.00 90.00
Space group Fm-3m (No. 225)
Inequivalent atoms, fractional coordinates:
1 Rb 0.2500 0.2500 0.2500
2 Li 0.0000 0.0000 0.0000
3 Er 0.0000 0.0000 0.5000
4 Cl 0.0000 0.0000 0.2498



A geometry-optimized NaErCl4 structure, computed with PBE.

E_tot ... -4.34 eV per atom
DFT formation energy ... -2.54 eV per atom
E (MP2020) ... -57.0 eV per cell

Lattice parameters (Å, degrees): 6.4451 7.7261 6.8035 90.00 92.74 90.00
Space group P2/c (No. 13)
Inequivalent atoms, fractional coordinates:
1 Na 0.0000 0.1466 0.2500
2 Er 0.5000 0.3447 0.7500
3 Cl 0.2474 0.1254 0.5953
4 Cl 0.2784 0.3965 0.0643



A geometry-optimized ErTiClO3 structure, computed with PBE.

E_tot ... -7.96 eV per atom
DFT formation energy ... -3.44 eV per atom
E (MP2020) ... -199.2 eV per cell

Lattice parameters (Å, degrees): 9.8201 3.9019 9.8705 90.00 106.80 90.00
Space group C2/m (No. 12)
Inequivalent atoms, fractional coordinates:
1 Er 0.2212 0.0000 0.2062
2 Ti 0.1182 0.5000 0.4301
3 Cl 0.1151 0.0000 0.9057
4 O 0.0792 0.5000 0.6252
5 O 0.1520 0.5000 0.2529
6 O 0.1669 0.0000 0.4354



A geometry-optimized Rb3ErCl6 structure, computed with PBE.

E_tot ... -4.00 eV per atom
DFT formation energy ... -2.51 eV per atom
E (MP2020) ... -349.3 eV per cell

Lattice parameters (Å, degrees): 26.1953 8.0193 12.9386 90.00 99.52 90.00
Space group C2/c (No. 15)
Inequivalent atoms, fractional coordinates:
1 Rb 0.0496 0.2461 0.4329
2 Rb 0.1537 0.1874 0.1444
3 Rb 0.1617 0.3128 0.7995
4 Er 0.0000 0.2836 0.7500
5 Er 0.2500 0.2500 0.5000
6 Cl 0.0581 0.0546 0.6804
7 Cl 0.0579 0.2748 0.9342
8 Cl 0.0583 0.4738 0.1947
9 Cl 0.1730 0.0516 0.4186
10 Cl 0.1772 0.4577 0.5351
11 Cl 0.2495 0.1109 0.6851